Entry 1:
{
  "formula": "Tm6Nb4Al43",
  "functional": "PBE",
  "state": "optimized geometry",
  "space_group": "P6_3/mcm",
  "energy_ev_per_atom": -4.6306,
  "formation_energy_ev_per_atom": -0.32,
  "lattice_angstrom": [[5.557, -9.625, 0.000], [5.557, 9.625, 0.000], [0.000, 0.000, 17.655]],
  "species": ["Tm", "Tm", "Tm", "Tm", "Tm", "Tm", "Tm", "Tm", "Tm", "Tm", "Tm", "Tm", "Nb", "Nb", "Nb", "Nb", "Nb", "Nb", "Nb", "Nb", "Al", "Al", "Al", "Al", "Al", "Al", "Al", "Al", "Al", "Al", "Al", "Al", "Al", "Al", "Al", "Al", "Al", "Al", "Al", "Al", "Al", "Al", "Al", "Al", "Al", "Al", "Al", "Al", "Al", "Al", "Al", "Al", "Al", "Al", "Al", "Al", "Al", "Al", "Al", "Al", "Al", "Al", "Al", "Al", "Al", "Al", "Al", "Al", "Al", "Al", "Al", "Al", "Al", "Al", "Al", "Al", "Al", "Al", "Al", "Al", "Al", "Al", "Al", "Al", "Al", "Al", "Al", "Al", "Al", "Al", "Al", "Al", "Al", "Al", "Al", "Al", "Al", "Al", "Al", "Al", "Al", "Al", "Al", "Al", "Al", "Al"],
  "frac_coords": [[0.530, 0.000, 0.596], [0.470, 0.000, 0.404], [0.000, 0.530, 0.596], [0.470, 0.000, 0.096], [0.000, 0.530, 0.904], [0.000, 0.470, 0.404], [0.530, 0.000, 0.904], [0.000, 0.470, 0.096], [0.470, 0.470, 0.596], [0.530, 0.530, 0.404], [0.530, 0.530, 0.096], [0.470, 0.470, 0.904], [0.000, 0.000, 0.500], [0.000, 0.000, 0.000], [0.725, 0.000, 0.750], [0.275, 0.000, 0.250], [0.000, 0.725, 0.750], [0.000, 0.275, 0.250], [0.275, 0.275, 0.750], [0.725, 0.725, 0.250], [0.150, 0.595, 0.750], [0.850, 0.405, 0.250], [0.405, 0.554, 0.750], [0.595, 0.150, 0.750], [0.595, 0.446, 0.250], [0.405, 0.850, 0.250], [0.446, 0.850, 0.750], [0.554, 0.405, 0.750], [0.554, 0.150, 0.250], [0.446, 0.595, 0.250], [0.850, 0.446, 0.750], [0.150, 0.554, 0.250], [0.159, 0.000, 0.115], [0.841, 0.000, 0.885], [0.000, 0.159, 0.115], [0.841, 0.000, 0.615], [0.000, 0.159, 0.385], [0.000, 0.841, 0.885], [0.159, 0.000, 0.385], [0.000, 0.841, 0.615], [0.841, 0.841, 0.115], [0.159, 0.159, 0.885], [0.159, 0.159, 0.615], [0.841, 0.841, 0.385], [0.247, 0.494, 0.500], [0.753, 0.506, 0.500], [0.506, 0.753, 0.500], [0.753, 0.506, 0.000], [0.494, 0.247, 0.000], [0.494, 0.247, 0.500], [0.247, 0.494, 0.000], [0.506, 0.753, 0.000], [0.247, 0.753, 0.500], [0.753, 0.247, 0.500], [0.753, 0.247, 0.000], [0.247, 0.753, 0.000], [0.147, 0.000, 0.750], [0.853, 0.000, 0.250], [0.000, 0.147, 0.750], [0.000, 0.853, 0.250], [0.853, 0.853, 0.750], [0.147, 0.147, 0.250], [0.333, 0.667, 0.626], [0.667, 0.333, 0.374], [0.667, 0.333, 0.126], [0.667, 0.333, 0.874], [0.333, 0.667, 0.874], [0.333, 0.667, 0.126], [0.333, 0.667, 0.374], [0.667, 0.333, 0.626], [0.257, 0.000, 0.530], [0.743, 0.000, 0.470], [0.000, 0.257, 0.530], [0.743, 0.000, 0.030], [0.000, 0.257, 0.970], [0.000, 0.743, 0.470], [0.257, 0.000, 0.970], [0.000, 0.743, 0.030], [0.743, 0.743, 0.530], [0.257, 0.257, 0.470], [0.257, 0.257, 0.030], [0.743, 0.743, 0.970], [0.157, 0.395, 0.663], [0.843, 0.605, 0.337], [0.605, 0.762, 0.663], [0.843, 0.605, 0.163], [0.395, 0.157, 0.837], [0.395, 0.238, 0.337], [0.157, 0.395, 0.837], [0.605, 0.843, 0.163], [0.238, 0.843, 0.663], [0.395, 0.238, 0.163], [0.762, 0.605, 0.837], [0.762, 0.157, 0.337], [0.605, 0.762, 0.837], [0.238, 0.395, 0.163], [0.605, 0.843, 0.337], [0.395, 0.157, 0.663], [0.762, 0.157, 0.163], [0.238, 0.395, 0.337], [0.238, 0.843, 0.837], [0.762, 0.605, 0.663], [0.843, 0.238, 0.837], [0.157, 0.762, 0.163], [0.157, 0.762, 0.337], [0.843, 0.238, 0.663]]
}

Entry 2:
{
  "formula": "Er2FeGe4",
  "functional": "PBE",
  "state": "optimized geometry",
  "space_group": "Amm2",
  "energy_ev_per_atom": -5.7195,
  "formation_energy_ev_per_atom": -0.56,
  "lattice_angstrom": [[0.000, 0.000, 4.133], [4.165, 0.000, 0.000], [2.082, 7.755, 0.000]],
  "species": ["Er", "Er", "Fe", "Ge", "Ge", "Ge", "Ge"],
  "frac_coords": [[0.250, 0.897, 0.205], [0.750, 0.103, 0.794], [0.250, 0.694, 0.612], [0.250, 0.547, 0.906], [0.750, 0.437, 0.127], [0.250, 0.261, 0.479], [0.750, 0.759, 0.483]]
}

Entry 3:
{
  "formula": "Y4C7",
  "functional": "PBE",
  "state": "optimized geometry",
  "space_group": "P2_1/c",
  "energy_ev_per_atom": -8.5039,
  "formation_energy_ev_per_atom": -0.28,
  "lattice_angstrom": [[12.639, 0.000, 0.000], [0.000, 3.716, 0.000], [0.000, 2.097, 13.690]],
  "species": ["Y", "Y", "Y", "Y", "Y", "Y", "Y", "Y", "Y", "Y", "Y", "Y", "Y", "Y", "Y", "Y", "C", "C", "C", "C", "C", "C", "C", "C", "C", "C", "C", "C", "C", "C", "C", "C", "C", "C", "C", "C", "C", "C", "C", "C", "C", "C", "C", "C"],
  "frac_coords": [[0.515, 0.303, 0.392], [0.985, 0.303, 0.892], [0.485, 0.697, 0.608], [0.015, 0.697, 0.108], [0.540, 0.122, 0.118], [0.960, 0.122, 0.618], [0.460, 0.878, 0.882], [0.040, 0.878, 0.382], [0.305, 0.866, 0.289], [0.195, 0.866, 0.789], [0.695, 0.134, 0.711], [0.805, 0.134, 0.211], [0.263, 0.263, 0.506], [0.237, 0.263, 0.006], [0.737, 0.737, 0.494], [0.763, 0.737, 0.994], [0.141, 0.165, 0.174], [0.359, 0.165, 0.674], [0.859, 0.835, 0.826], [0.641, 0.835, 0.326], [0.389, 0.749, 0.046], [0.111, 0.749, 0.546], [0.611, 0.251, 0.954], [0.889, 0.251, 0.454], [0.416, 0.408, 0.227], [0.084, 0.408, 0.727], [0.584, 0.592, 0.773], [0.916, 0.592, 0.273], [0.171, 0.374, 0.347], [0.329, 0.374, 0.847], [0.829, 0.626, 0.653], [0.671, 0.626, 0.153], [0.395, 0.582, 0.138], [0.105, 0.582, 0.638], [0.605, 0.418, 0.862], [0.895, 0.418, 0.362], [0.152, 0.301, 0.256], [0.348, 0.301, 0.756], [0.848, 0.699, 0.744], [0.652, 0.699, 0.244], [0.616, 0.213, 0.551], [0.884, 0.213, 0.051], [0.384, 0.787, 0.449], [0.116, 0.787, 0.949]]
}

Entry 4:
{
  "formula": "OsO2F3",
  "functional": "PBE",
  "state": "optimized geometry",
  "space_group": "Pc",
  "energy_ev_per_atom": -5.8487,
  "formation_energy_ev_per_atom": -1.83,
  "lattice_angstrom": [[5.238, 0.000, 0.000], [0.000, 5.693, 0.000], [0.000, 2.407, 12.424]],
  "species": ["Os", "Os", "Os", "Os", "O", "O", "O", "O", "O", "O", "O", "O", "F", "F", "F", "F", "F", "F", "F", "F", "F", "F", "F", "F"],
  "frac_coords": [[0.484, 0.820, 0.049], [0.034, 0.183, 0.337], [0.966, 0.183, 0.837], [0.516, 0.820, 0.549], [0.399, 0.598, 0.493], [0.862, 0.243, 0.220], [0.097, 0.369, 0.914], [0.678, 0.314, 0.801], [0.903, 0.369, 0.414], [0.322, 0.314, 0.301], [0.601, 0.598, 0.993], [0.138, 0.243, 0.720], [0.181, 0.672, 0.111], [0.203, 0.025, 0.497], [0.638, 0.747, 0.186], [0.292, 0.952, 0.910], [0.797, 0.025, 0.997], [0.128, 0.866, 0.326], [0.819, 0.672, 0.611], [0.373, 0.112, 0.084], [0.708, 0.952, 0.410], [0.872, 0.866, 0.826], [0.362, 0.747, 0.686], [0.627, 0.112, 0.584]]
}

Entry 5:
{
  "formula": "LiBC",
  "functional": "PBE",
  "state": "optimized geometry",
  "space_group": "P6_3/mmc",
  "energy_ev_per_atom": -6.3141,
  "formation_energy_ev_per_atom": -0.38,
  "lattice_angstrom": [[-1.799, 0.625, -1.983], [-0.877, -0.405, 2.574], [0.864, 6.831, 1.368]],
  "species": ["Li", "Li", "B", "B", "C", "C"],
  "frac_coords": [[0.000, 0.000, 0.500], [0.000, 0.000, 0.000], [0.333, 0.667, 0.750], [0.667, 0.333, 0.250], [0.333, 0.667, 0.250], [0.667, 0.333, 0.750]]
}

Entry 6:
{
  "formula": "Na2Hf4Ga4Si3S9O48",
  "functional": "PBE",
  "state": "optimized geometry",
  "space_group": "P1",
  "energy_ev_per_atom": -6.9199,
  "formation_energy_ev_per_atom": -2.45,
  "lattice_angstrom": [[17.508, 0.008, -0.107], [-4.373, 7.571, 0.020], [-0.137, -0.022, 22.758]],
  "species": ["Na", "Na", "Na", "Na", "Na", "Na", "Hf", "Hf", "Hf", "Hf", "Hf", "Hf", "Hf", "Hf", "Hf", "Hf", "Hf", "Hf", "Ga", "Ga", "Ga", "Ga", "Ga", "Ga", "Ga", "Ga", "Ga", "Ga", "Ga", "Ga", "Si", "Si", "Si", "Si", "Si", "Si", "Si", "Si", "Si", "S", "S", "S", "S", "S", "S", "S", "S", "S", "S", "S", "S", "S", "S", "S", "S", "S", "S", "S", "S", "S", "S", "S", "S", "S", "S", "S", "O", "O", "O", "O", "O", "O", "O", "O", "O", "O", "O", "O", "O", "O", "O", "O", "O", "O", "O", "O", "O", "O", "O", "O", "O", "O", "O", "O", "O", "O", "O", "O", "O", "O", "O", "O", "O", "O", "O", "O", "O", "O", "O", "O", "O", "O", "O", "O", "O", "O", "O", "O", "O", "O", "O", "O", "O", "O", "O", "O", "O", "O", "O", "O", "O", "O", "O", "O", "O", "O", "O", "O", "O", "O", "O", "O", "O", "O", "O", "O", "O", "O", "O", "O", "O", "O", "O", "O", "O", "O", "O", "O", "O", "O", "O", "O", "O", "O", "O", "O", "O", "O", "O", "O", "O", "O", "O", "O", "O", "O", "O", "O", "O", "O", "O", "O", "O", "O", "O", "O", "O", "O", "O", "O", "O", "O", "O", "O", "O", "O", "O", "O", "O", "O", "O", "O", "O", "O", "O", "O", "O", "O", "O", "O"],
  "frac_coords": [[0.996, 0.005, 0.500], [0.497, 0.989, 0.004], [0.330, 0.326, 0.841], [0.827, 0.330, 0.835], [0.329, 0.325, 0.333], [0.823, 0.323, 0.337], [0.510, 0.014, 0.357], [0.003, 0.998, 0.859], [0.505, 0.019, 0.645], [0.005, 0.990, 0.145], [0.337, 0.335, 0.686], [0.833, 0.336, 0.687], [0.335, 0.332, 0.188], [0.834, 0.333, 0.190], [0.164, 0.675, 0.024], [0.661, 0.664, 0.024], [0.161, 0.660, 0.523], [0.664, 0.656, 0.521], [0.003, 0.000, 0.348], [0.505, 0.007, 0.850], [0.996, 0.012, 0.647], [0.501, 0.967, 0.151], [0.332, 0.332, 0.983], [0.833, 0.340, 0.986], [0.336, 0.330, 0.480], [0.832, 0.327, 0.479], [0.167, 0.676, 0.310], [0.668, 0.662, 0.313], [0.171, 0.685, 0.819], [0.665, 0.654, 0.811], [0.146, 0.997, 0.256], [0.645, 0.985, 0.252], [0.646, 0.296, 0.756], [0.476, 0.334, 0.580], [0.971, 0.321, 0.582], [0.470, 0.623, 0.081], [0.974, 0.616, 0.081], [0.178, 0.970, 0.916], [0.676, 0.389, 0.415], [0.352, 0.712, 0.251], [0.855, 0.715, 0.252], [0.003, 0.292, 0.254], [0.503, 0.287, 0.248], [0.143, 0.298, 0.751], [0.005, 0.718, 0.749], [0.501, 0.713, 0.754], [0.352, 0.989, 0.752], [0.853, 0.993, 0.751], [0.186, 0.048, 0.582], [0.690, 0.047, 0.581], [0.334, 0.619, 0.581], [0.838, 0.631, 0.583], [0.339, 0.048, 0.083], [0.835, 0.049, 0.081], [0.190, 0.332, 0.081], [0.686, 0.325, 0.081], [0.316, 0.672, 0.913], [0.808, 0.658, 0.916], [0.019, 0.382, 0.915], [0.521, 0.374, 0.914], [0.668, 0.960, 0.915], [0.309, 0.958, 0.416], [0.817, 0.962, 0.415], [0.168, 0.376, 0.415], [0.021, 0.669, 0.414], [0.517, 0.656, 0.416], [0.102, 0.039, 0.312], [0.601, 0.027, 0.308], [0.408, 0.792, 0.304], [0.910, 0.791, 0.306], [0.484, 0.174, 0.302], [0.982, 0.176, 0.306], [0.102, 0.181, 0.803], [0.602, 0.165, 0.811], [0.481, 0.787, 0.806], [0.989, 0.800, 0.801], [0.408, 0.026, 0.806], [0.911, 0.026, 0.803], [0.394, 0.968, 0.699], [0.893, 0.963, 0.698], [0.090, 0.214, 0.697], [0.587, 0.201, 0.696], [0.016, 0.826, 0.696], [0.511, 0.813, 0.700], [0.389, 0.820, 0.198], [0.897, 0.824, 0.199], [0.013, 0.209, 0.200], [0.511, 0.200, 0.195], [0.087, 0.972, 0.196], [0.587, 0.963, 0.192], [0.430, 0.361, 0.639], [0.931, 0.357, 0.641], [0.241, 0.128, 0.636], [0.743, 0.129, 0.636], [0.315, 0.506, 0.635], [0.820, 0.519, 0.636], [0.430, 0.505, 0.139], [0.929, 0.496, 0.139], [0.320, 0.124, 0.136], [0.815, 0.124, 0.134], [0.243, 0.358, 0.135], [0.742, 0.356, 0.134], [0.225, 0.292, 0.029], [0.724, 0.291, 0.028], [0.412, 0.529, 0.022], [0.916, 0.534, 0.022], [0.351, 0.153, 0.030], [0.847, 0.154, 0.027], [0.224, 0.159, 0.530], [0.726, 0.159, 0.530], [0.346, 0.537, 0.529], [0.852, 0.550, 0.531], [0.412, 0.297, 0.524], [0.911, 0.295, 0.524], [0.276, 0.698, 0.966], [0.770, 0.688, 0.969], [0.075, 0.457, 0.968], [0.578, 0.457, 0.968], [0.157, 0.843, 0.973], [0.657, 0.850, 0.968], [0.268, 0.853, 0.470], [0.778, 0.857, 0.469], [0.158, 0.464, 0.469], [0.660, 0.476, 0.473], [0.078, 0.699, 0.468], [0.572, 0.690, 0.470], [0.063, 0.640, 0.363], [0.556, 0.626, 0.364], [0.253, 0.873, 0.364], [0.762, 0.880, 0.362], [0.182, 0.485, 0.363], [0.688, 0.509, 0.357], [0.061, 0.490, 0.862], [0.563, 0.486, 0.863], [0.191, 0.884, 0.857], [0.682, 0.878, 0.862], [0.259, 0.640, 0.859], [0.754, 0.635, 0.863], [0.012, 0.829, 0.410], [0.505, 0.812, 0.410], [0.396, 0.977, 0.409], [0.907, 0.978, 0.409], [0.087, 0.200, 0.412], [0.587, 0.197, 0.409], [0.009, 0.203, 0.907], [0.513, 0.195, 0.910], [0.089, 0.987, 0.906], [0.586, 0.971, 0.911], [0.405, 0.837, 0.906], [0.897, 0.816, 0.908], [0.483, 0.159, 0.590], [0.986, 0.150, 0.590], [0.097, 0.020, 0.591], [0.600, 0.018, 0.591], [0.413, 0.790, 0.592], [0.920, 0.804, 0.593], [0.482, 0.820, 0.086], [0.983, 0.809, 0.090], [0.419, 0.036, 0.093], [0.913, 0.035, 0.091], [0.100, 0.182, 0.090], [0.597, 0.176, 0.088], [0.341, 0.150, 0.745], [0.847, 0.156, 0.744], [0.232, 0.313, 0.745], [0.744, 0.314, 0.747], [0.421, 0.530, 0.747], [0.923, 0.541, 0.744], [0.345, 0.535, 0.244], [0.847, 0.537, 0.245], [0.422, 0.307, 0.244], [0.924, 0.315, 0.247], [0.243, 0.173, 0.246], [0.743, 0.164, 0.244], [0.326, 0.515, 0.918], [0.817, 0.497, 0.921], [0.435, 0.358, 0.921], [0.930, 0.358, 0.921], [0.262, 0.167, 0.926], [0.748, 0.139, 0.923], [0.315, 0.136, 0.421], [0.827, 0.140, 0.420], [0.248, 0.357, 0.424], [0.762, 0.361, 0.425], [0.426, 0.498, 0.423], [0.934, 0.510, 0.422], [0.185, 0.493, 0.073], [0.683, 0.491, 0.073], [0.071, 0.635, 0.075], [0.569, 0.645, 0.071], [0.262, 0.868, 0.076], [0.757, 0.870, 0.073], [0.182, 0.875, 0.575], [0.685, 0.876, 0.575], [0.256, 0.642, 0.574], [0.762, 0.658, 0.577], [0.070, 0.494, 0.571], [0.572, 0.509, 0.575], [0.154, 0.822, 0.261], [0.655, 0.814, 0.265], [0.263, 0.685, 0.260], [0.767, 0.695, 0.256], [0.083, 0.463, 0.262], [0.580, 0.461, 0.256], [0.153, 0.472, 0.761], [0.654, 0.487, 0.761], [0.082, 0.696, 0.758], [0.580, 0.697, 0.762], [0.265, 0.831, 0.757], [0.765, 0.842, 0.760]]
}